(1)
The following is a DFT calculation (PBE) of a geometry-optimized Mg14TiCo structure.

Cell lengths 9.950, 6.291, 6.291 Å; angles 58.26, 90.00, 90.00 degrees
Fractional positions:
Mg1 0.000 0.000 0.000
Mg2 0.000 0.004 0.499
Mg3 0.000 0.498 0.498
Mg4 0.000 0.499 0.004
Mg5 0.249 0.662 0.662
Mg6 0.266 0.166 0.673
Mg7 0.266 0.673 0.166
Mg8 0.268 0.156 0.156
Mg9 0.500 0.509 0.996
Mg10 0.500 0.996 0.509
Mg11 0.732 0.156 0.156
Mg12 0.734 0.166 0.673
Mg13 0.734 0.673 0.166
Mg14 0.751 0.662 0.662
Ti1 0.500 0.508 0.508
Co1 0.500 0.000 0.000

Summary:
- space-group type = Amm2 (38)
- calculated volume (Å³ per atom) = 20.9
- DFT formation energy (meV per atom) = 97



(2)
The following is a DFT calculation (PBE) of a geometry-optimized CaGe2N2 structure.

Cell lengths 3.202, 3.202, 8.851 Å; angles 90.00, 90.00, 120.00 degrees
Fractional positions:
Ca1 0.000 0.000 0.000
Ge1 0.333 0.667 0.304
Ge2 0.667 0.333 0.696
N1 0.333 0.667 0.821
N2 0.667 0.333 0.179

Summary:
- space-group type = P-3m1 (164)
- calculated volume (Å³ per atom) = 15.7
- DFT formation energy (meV per atom) = -398



(3)
The following is a DFT calculation (PBE) of a geometry-optimized RbTi3Si2P6O25 structure.

Cell lengths 8.348, 8.348, 17.408 Å; angles 90.00, 90.00, 120.00 degrees
Fractional positions:
Rb1 0.333 0.667 0.250
Rb2 0.667 0.333 0.750
Ti1 0.333 0.667 0.023
Ti2 0.333 0.667 0.477
Ti3 0.333 0.667 0.750
Ti4 0.667 0.333 0.250
Ti5 0.667 0.333 0.523
Ti6 0.667 0.333 0.977
Si1 0.000 0.000 0.092
Si2 0.000 0.000 0.408
Si3 0.000 0.000 0.592
Si4 0.000 0.000 0.908
P1 0.050 0.383 0.891
P2 0.050 0.668 0.609
P3 0.332 0.383 0.609
P4 0.332 0.950 0.891
P5 0.383 0.050 0.391
P6 0.383 0.332 0.109
P7 0.617 0.668 0.891
P8 0.617 0.950 0.609
P9 0.668 0.050 0.109
P10 0.668 0.617 0.391
P11 0.950 0.332 0.391
P12 0.950 0.617 0.109
O1 0.000 0.000 0.000
O2 0.000 0.000 0.500
O3 0.029 0.196 0.375
O4 0.029 0.833 0.125
O5 0.118 0.522 0.408
O6 0.118 0.596 0.092
O7 0.135 0.475 0.814
O8 0.135 0.660 0.686
O9 0.167 0.196 0.125
O10 0.167 0.971 0.375
O11 0.189 0.444 0.957
O12 0.189 0.745 0.543
O13 0.196 0.029 0.875
O14 0.196 0.167 0.625
O15 0.255 0.444 0.543
O16 0.255 0.811 0.957
O17 0.340 0.475 0.686
O18 0.340 0.865 0.814
O19 0.404 0.522 0.092
O20 0.404 0.882 0.408
O21 0.444 0.189 0.457
O22 0.444 0.255 0.043
O23 0.475 0.135 0.314
O24 0.475 0.340 0.186
O25 0.478 0.596 0.408
O26 0.478 0.882 0.092
O27 0.522 0.118 0.908
O28 0.522 0.404 0.592
O29 0.525 0.660 0.814
O30 0.525 0.865 0.686
O31 0.556 0.745 0.957
O32 0.556 0.811 0.543
O33 0.596 0.118 0.592
O34 0.596 0.478 0.908
O35 0.660 0.135 0.186
O36 0.660 0.525 0.314
O37 0.745 0.189 0.043
O38 0.745 0.556 0.457
O39 0.804 0.833 0.375
O40 0.804 0.971 0.125
O41 0.811 0.255 0.457
O42 0.811 0.556 0.043
O43 0.833 0.029 0.625
O44 0.833 0.804 0.875
O45 0.865 0.340 0.314
O46 0.865 0.525 0.186
O47 0.882 0.404 0.908
O48 0.882 0.478 0.592
O49 0.971 0.167 0.875
O50 0.971 0.804 0.625

Summary:
- space-group type = P-31c (163)
- calculated volume (Å³ per atom) = 14.2
- DFT formation energy (meV per atom) = -2999



(4)
The following is a DFT calculation (PBE) of a geometry-optimized LiBiO2 structure.

Cell lengths 3.492, 3.492, 9.515 Å; angles 90.00, 90.00, 90.00 degrees
Fractional positions:
Li1 0.250 0.750 0.000
Li2 0.750 0.250 0.000
Bi1 0.250 0.250 0.315
Bi2 0.750 0.750 0.685
O1 0.250 0.250 0.097
O2 0.250 0.250 0.672
O3 0.750 0.750 0.328
O4 0.750 0.750 0.903

Summary:
- space-group type = P4/nmm (129)
- calculated volume (Å³ per atom) = 14.5
- DFT formation energy (meV per atom) = -1799



(5)
The following is a DFT calculation (PBE) of a geometry-optimized CeAl3P2O14 structure.

Cell lengths 6.691, 6.691, 6.691 Å; angles 62.56, 62.56, 62.56 degrees
Fractional positions:
Ce1 0.000 0.000 0.000
Al1 0.000 0.000 0.500
Al2 0.000 0.500 0.000
Al3 0.500 0.000 0.000
P1 0.318 0.318 0.318
P2 0.682 0.682 0.682
O1 0.095 0.759 0.759
O2 0.161 0.161 0.523
O3 0.161 0.523 0.161
O4 0.241 0.241 0.905
O5 0.241 0.905 0.241
O6 0.413 0.413 0.413
O7 0.477 0.839 0.839
O8 0.523 0.161 0.161
O9 0.587 0.587 0.587
O10 0.759 0.095 0.759
O11 0.759 0.759 0.095
O12 0.839 0.477 0.839
O13 0.839 0.839 0.477
O14 0.905 0.241 0.241

Summary:
- space-group type = R-3m (166)
- calculated volume (Å³ per atom) = 11.2
- DFT formation energy (meV per atom) = -2611



(6)
The following is a DFT calculation (PBE) of a geometry-optimized CsPr2Ag3Te5 structure.

Cell lengths 8.584, 8.584, 19.053 Å; angles 90.00, 90.00, 147.80 degrees
Fractional positions:
Cs1 0.060 0.940 0.750
Cs2 0.940 0.060 0.250
Pr1 0.191 0.809 0.093
Pr2 0.191 0.809 0.407
Pr3 0.809 0.191 0.593
Pr4 0.809 0.191 0.907
Ag1 0.342 0.658 0.750
Ag2 0.415 0.585 0.031
Ag3 0.415 0.585 0.469
Ag4 0.585 0.415 0.531
Ag5 0.585 0.415 0.969
Ag6 0.658 0.342 0.250
Te1 0.176 0.824 0.573
Te2 0.176 0.824 0.927
Te3 0.254 0.746 0.250
Te4 0.439 0.561 0.619
Te5 0.439 0.561 0.881
Te6 0.561 0.439 0.119
Te7 0.561 0.439 0.381
Te8 0.746 0.254 0.750
Te9 0.824 0.176 0.073
Te10 0.824 0.176 0.427

Summary:
- space-group type = Cmcm (63)
- calculated volume (Å³ per atom) = 34.0
- DFT formation energy (meV per atom) = -1103



(7)
The following is a DFT calculation (PBE) of a geometry-optimized Nd2S3O16 structure.

Cell lengths 12.888, 7.011, 18.806 Å; angles 90.00, 131.37, 90.00 degrees
Fractional positions:
Nd1 0.050 0.242 0.468
Nd2 0.050 0.258 0.968
Nd3 0.420 0.225 0.852
Nd4 0.420 0.275 0.352
Nd5 0.580 0.725 0.648
Nd6 0.580 0.775 0.148
Nd7 0.950 0.742 0.032
Nd8 0.950 0.758 0.532
S1 0.036 0.240 0.136
S2 0.036 0.260 0.636
S3 0.309 0.603 0.153
S4 0.309 0.897 0.653
S5 0.321 0.117 0.961
S6 0.321 0.383 0.461
S7 0.679 0.617 0.539
S8 0.679 0.883 0.039
S9 0.691 0.103 0.347
S10 0.691 0.397 0.847
S11 0.964 0.740 0.364
S12 0.964 0.760 0.864
O1 0.011 0.080 0.070
O2 0.011 0.420 0.570
O3 0.041 0.086 0.589
O4 0.041 0.414 0.089
O5 0.071 0.747 0.860
O6 0.071 0.753 0.360
O7 0.101 0.737 0.214
O8 0.101 0.763 0.714
O9 0.176 0.207 0.229
O10 0.176 0.293 0.729
O11 0.185 0.181 0.926
O12 0.185 0.319 0.426
O13 0.201 0.749 0.621
O14 0.201 0.751 0.121
O15 0.251 0.035 0.574
O16 0.251 0.465 0.074
O17 0.259 0.113 0.126
O18 0.259 0.387 0.626
O19 0.310 0.006 0.889
O20 0.310 0.494 0.389
O21 0.349 0.505 0.236
O22 0.349 0.995 0.736
O23 0.371 0.617 0.988
O24 0.371 0.883 0.488
O25 0.394 0.008 0.049
O26 0.394 0.492 0.549
O27 0.397 0.586 0.846
O28 0.397 0.914 0.346
O29 0.404 0.207 0.476
O30 0.404 0.293 0.976
O31 0.430 0.701 0.176
O32 0.430 0.799 0.676
O33 0.570 0.201 0.324
O34 0.570 0.299 0.824
O35 0.596 0.707 0.024
O36 0.596 0.793 0.524
O37 0.603 0.086 0.654
O38 0.603 0.414 0.154
O39 0.606 0.508 0.451
O40 0.606 0.992 0.951
O41 0.629 0.117 0.512
O42 0.629 0.383 0.012
O43 0.651 0.005 0.264
O44 0.651 0.495 0.764
O45 0.690 0.506 0.611
O46 0.690 0.994 0.111
O47 0.741 0.613 0.374
O48 0.741 0.887 0.874
O49 0.749 0.535 0.926
O50 0.749 0.965 0.426
O51 0.799 0.249 0.879
O52 0.799 0.251 0.379
O53 0.815 0.681 0.574
O54 0.815 0.819 0.074
O55 0.824 0.707 0.271
O56 0.824 0.793 0.771
O57 0.899 0.237 0.286
O58 0.899 0.263 0.786
O59 0.929 0.247 0.640
O60 0.929 0.253 0.140
O61 0.959 0.586 0.911
O62 0.959 0.914 0.411
O63 0.989 0.580 0.430
O64 0.989 0.920 0.930

Summary:
- space-group type = P2_1/c (14)
- calculated volume (Å³ per atom) = 15.2
- DFT formation energy (meV per atom) = -1714



(8)
The following is a DFT calculation (PBE) of a geometry-optimized NaTi2HO5 structure.

Cell lengths 3.053, 3.706, 10.210 Å; angles 95.58, 93.13, 90.09 degrees
Fractional positions:
Na1 0.000 0.000 0.000
Ti1 0.324 0.894 0.630
Ti2 0.791 0.335 0.408
H1 0.413 0.514 0.121
O1 0.270 0.307 0.306
O2 0.314 0.378 0.568
O3 0.522 0.514 0.033
O4 0.799 0.851 0.469
O5 0.844 0.921 0.733

Summary:
- space-group type = P1 (1)
- calculated volume (Å³ per atom) = 12.8
- DFT formation energy (meV per atom) = -2787



(9)
The following is a DFT calculation (PBE) of a geometry-optimized LiZn2B5H20 structure.

Cell lengths 10.117, 10.117, 15.888 Å; angles 90.00, 90.00, 128.50 degrees
Fractional positions:
Li1 0.143 0.857 0.937
Li2 0.357 0.643 0.437
Li3 0.643 0.357 0.563
Li4 0.857 0.143 0.063
Zn1 0.071 0.929 0.625
Zn2 0.150 0.850 0.238
Zn3 0.350 0.650 0.738
Zn4 0.429 0.571 0.125
Zn5 0.571 0.429 0.875
Zn6 0.650 0.350 0.262
Zn7 0.850 0.150 0.762
Zn8 0.929 0.071 0.375
B1 0.046 0.954 0.319
B2 0.119 0.341 0.397
B3 0.138 0.862 0.095
B4 0.159 0.381 0.103
B5 0.241 0.759 0.328
B6 0.259 0.741 0.828
B7 0.341 0.119 0.603
B8 0.362 0.638 0.595
B9 0.381 0.159 0.897
B10 0.454 0.546 0.819
B11 0.546 0.454 0.181
B12 0.619 0.841 0.103
B13 0.638 0.362 0.405
B14 0.659 0.881 0.397
B15 0.741 0.259 0.172
B16 0.759 0.241 0.672
B17 0.841 0.619 0.897
B18 0.862 0.138 0.905
B19 0.881 0.659 0.603
B20 0.954 0.046 0.681
H1 0.008 0.757 0.058
H2 0.012 0.988 0.723
H3 0.034 0.284 0.330
H4 0.041 0.959 0.396
H5 0.042 0.197 0.700
H6 0.070 0.411 0.073
H7 0.076 0.232 0.453
H8 0.088 0.912 0.151
H9 0.089 0.430 0.427
H10 0.094 0.236 0.121
H11 0.099 0.668 0.357
H12 0.168 0.599 0.857
H13 0.192 0.808 0.828
H14 0.197 0.042 0.300
H15 0.202 0.798 0.118
H16 0.216 0.466 0.170
H17 0.232 0.076 0.547
H18 0.236 0.094 0.879
H19 0.243 0.757 0.248
H20 0.243 0.992 0.058
H21 0.257 0.508 0.558
H22 0.257 0.743 0.748
H23 0.264 0.406 0.379
H24 0.268 0.424 0.047
H25 0.284 0.034 0.670
H26 0.298 0.702 0.618
H27 0.303 0.458 0.800
H28 0.308 0.692 0.328
H29 0.332 0.901 0.357
H30 0.401 0.832 0.857
H31 0.406 0.264 0.621
H32 0.411 0.070 0.927
H33 0.412 0.588 0.651
H34 0.424 0.268 0.953
H35 0.430 0.089 0.573
H36 0.458 0.303 0.200
H37 0.459 0.541 0.896
H38 0.466 0.216 0.830
H39 0.488 0.512 0.223
H40 0.492 0.743 0.558
H41 0.508 0.257 0.442
H42 0.512 0.488 0.777
H43 0.534 0.784 0.170
H44 0.541 0.459 0.104
H45 0.542 0.697 0.800
H46 0.570 0.911 0.427
H47 0.576 0.732 0.047
H48 0.588 0.412 0.349
H49 0.589 0.930 0.073
H50 0.594 0.736 0.379
H51 0.599 0.168 0.143
H52 0.668 0.099 0.643
H53 0.692 0.308 0.672
H54 0.697 0.542 0.200
H55 0.702 0.298 0.382
H56 0.716 0.966 0.330
H57 0.732 0.576 0.953
H58 0.736 0.594 0.621
H59 0.743 0.257 0.252
H60 0.743 0.492 0.442
H61 0.757 0.008 0.942
H62 0.757 0.243 0.752
H63 0.764 0.906 0.121
H64 0.768 0.924 0.453
H65 0.784 0.534 0.830
H66 0.798 0.202 0.882
H67 0.803 0.958 0.700
H68 0.808 0.192 0.172
H69 0.832 0.401 0.143
H70 0.901 0.332 0.643
H71 0.906 0.764 0.879
H72 0.911 0.570 0.573
H73 0.912 0.088 0.849
H74 0.924 0.768 0.547
H75 0.930 0.589 0.927
H76 0.958 0.803 0.300
H77 0.959 0.041 0.604
H78 0.966 0.716 0.670
H79 0.988 0.012 0.277
H80 0.992 0.243 0.942

Summary:
- space-group type = Cmce (64)
- calculated volume (Å³ per atom) = 11.4
- DFT formation energy (meV per atom) = -215